(1)
This record from the Materials Project describes crystalline Na17Pd15F48 at its relaxed geometry. The functional is PBE-GGA.

The total magnetic moment is 11.41 μB/cell. As for the crystal system: triclinic. The value obtained for the formation energy is -2135.0 meV per atom. Its energy is -681.40 eV per cell.

Unit cell a=6.849 b=6.934 c=50.060 alpha=89.01 beta=86.75 gamma=89.86
Fractional positions:
Na 0.000 0.000 0.000
Na 0.000 0.259 0.500
Na 0.063 0.750 0.312
Na 0.123 0.497 0.626
Na 0.125 0.241 0.125
Na 0.125 0.759 0.125
Na 0.188 0.250 0.938
Na 0.188 0.750 0.938
Na 0.245 0.259 0.750
Na 0.252 0.996 0.248
Na 0.255 0.741 0.750
Na 0.373 0.504 0.877
Na 0.375 0.241 0.375
Na 0.375 0.759 0.375
Na 0.437 0.251 0.187
Na 0.437 0.750 0.187
Na 0.500 0.259 0.000
Na 0.500 0.741 0.000
Na 0.502 0.997 0.499
Na 0.563 0.750 0.813
Na 0.625 0.500 0.125
Na 0.625 0.759 0.625
Na 0.630 0.241 0.625
Na 0.688 0.750 0.437
Na 0.744 0.259 0.249
Na 0.750 0.000 0.750
Na 0.750 0.741 0.249
Na 0.812 0.250 0.062
Na 0.812 0.750 0.062
Na 0.875 0.507 0.375
Na 0.875 0.759 0.876
Na 0.882 0.241 0.876
Na 0.937 0.250 0.688
Na 0.996 0.741 0.499
Pd 0.000 0.500 0.000
Pd 0.050 0.006 0.808
Pd 0.062 0.250 0.312
Pd 0.074 0.494 0.816
Pd 0.124 0.001 0.625
Pd 0.176 0.493 0.433
Pd 0.199 0.007 0.442
Pd 0.250 0.501 0.250
Pd 0.301 0.999 0.058
Pd 0.312 0.750 0.563
Pd 0.313 0.250 0.562
Pd 0.324 0.501 0.066
Pd 0.375 0.999 0.875
Pd 0.425 0.505 0.683
Pd 0.449 0.995 0.691
Pd 0.501 0.501 0.500
Pd 0.551 0.007 0.308
Pd 0.562 0.250 0.813
Pd 0.574 0.493 0.317
Pd 0.625 0.000 0.125
Pd 0.675 0.499 0.933
Pd 0.688 0.250 0.437
Pd 0.699 0.001 0.941
Pd 0.750 0.500 0.750
Pd 0.800 0.000 0.558
Pd 0.825 0.500 0.566
Pd 0.875 0.998 0.375
Pd 0.926 0.499 0.183
Pd 0.937 0.750 0.688
Pd 0.950 0.001 0.192
F 0.002 0.005 0.848
F 0.016 0.999 0.053
F 0.039 0.499 0.063
F 0.039 0.503 0.856
F 0.042 0.791 0.358
F 0.045 0.210 0.357
F 0.078 0.290 0.268
F 0.082 0.710 0.267
F 0.084 0.995 0.769
F 0.094 0.002 0.561
F 0.116 0.500 0.572
F 0.124 0.496 0.777
F 0.127 0.502 0.473
F 0.136 0.506 0.678
F 0.157 0.991 0.689
F 0.167 0.004 0.481
F 0.169 0.293 0.984
F 0.171 0.710 0.984
F 0.204 0.791 0.891
F 0.208 0.208 0.891
F 0.209 0.494 0.394
F 0.212 0.501 0.186
F 0.234 0.001 0.197
F 0.249 0.999 0.402
F 0.256 0.004 0.098
F 0.262 0.007 0.304
F 0.282 0.490 0.314
F 0.288 0.504 0.106
F 0.292 0.790 0.607
F 0.295 0.211 0.607
F 0.331 0.288 0.518
F 0.332 0.709 0.518
F 0.337 0.996 0.019
F 0.343 0.009 0.811
F 0.363 0.493 0.821
F 0.369 0.496 0.027
F 0.376 0.504 0.723
F 0.391 0.499 0.928
F 0.413 0.999 0.938
F 0.415 0.005 0.731
F 0.417 0.292 0.234
F 0.420 0.709 0.234
F 0.454 0.790 0.141
F 0.456 0.208 0.141
F 0.458 0.497 0.644
F 0.468 0.492 0.436
F 0.488 0.007 0.447
F 0.498 0.995 0.652
F 0.501 0.006 0.348
F 0.509 0.000 0.553
F 0.531 0.499 0.564
F 0.541 0.501 0.356
F 0.543 0.790 0.858
F 0.547 0.211 0.857
F 0.579 0.290 0.768
F 0.584 0.710 0.766
F 0.586 0.001 0.062
F 0.586 0.997 0.269
F 0.608 0.501 0.072
F 0.623 0.495 0.277
F 0.632 0.504 0.973
F 0.641 0.499 0.178
F 0.663 0.004 0.981
F 0.663 0.999 0.189
F 0.667 0.292 0.482
F 0.668 0.712 0.483
F 0.706 0.789 0.392
F 0.707 0.208 0.393
F 0.710 0.494 0.894
F 0.718 0.509 0.686
F 0.738 0.994 0.696
F 0.745 0.998 0.902
F 0.749 0.002 0.598
F 0.762 0.007 0.803
F 0.782 0.490 0.814
F 0.791 0.505 0.606
F 0.794 0.792 0.109
F 0.796 0.210 0.109
F 0.829 0.290 0.016
F 0.831 0.707 0.016
F 0.834 0.998 0.519
F 0.843 0.010 0.311
F 0.863 0.493 0.322
F 0.876 0.495 0.527
F 0.879 0.502 0.223
F 0.887 0.493 0.428
F 0.907 0.007 0.439
F 0.915 0.005 0.231
F 0.916 0.290 0.733
F 0.921 0.710 0.732
F 0.955 0.790 0.643
F 0.959 0.209 0.642
F 0.962 0.497 0.144
F 0.962 0.501 0.936
F 0.983 0.001 0.946
F 0.994 0.996 0.152

=====

(2)
This record from the Materials Project describes crystalline HgH4C2S2O8F6 at its relaxed geometry. The functional is PBE-GGA.

The total magnetic moment is 0.05 μB/cell. As for the crystal system: triclinic. The value obtained for the formation energy is -1580.5 meV per atom. Its energy is -239.52 eV per cell.

Unit cell a=8.002 b=8.135 c=10.224 alpha=97.87 beta=98.44 gamma=96.39
Fractional positions:
Hg 0.219 0.238 0.006
Hg 0.781 0.762 0.994
H 0.050 0.443 0.856
H 0.052 0.742 0.179
H 0.322 0.025 0.174
H 0.485 0.158 0.168
H 0.515 0.842 0.832
H 0.678 0.975 0.826
H 0.948 0.258 0.821
H 0.950 0.557 0.144
C 0.064 0.793 0.628
C 0.476 0.658 0.340
C 0.524 0.342 0.660
C 0.936 0.207 0.372
S 0.120 0.800 0.814
S 0.400 0.709 0.170
S 0.600 0.291 0.830
S 0.880 0.200 0.186
O 0.014 0.654 0.844
O 0.065 0.322 0.840
O 0.066 0.957 0.870
O 0.268 0.819 0.192
O 0.302 0.792 0.837
O 0.334 0.547 0.088
O 0.360 0.146 0.172
O 0.449 0.200 0.865
O 0.551 0.800 0.135
O 0.640 0.854 0.828
O 0.666 0.453 0.912
O 0.698 0.208 0.163
O 0.732 0.181 0.808
O 0.934 0.043 0.130
O 0.935 0.678 0.160
O 0.986 0.346 0.156
F 0.101 0.649 0.563
F 0.104 0.198 0.406
F 0.156 0.923 0.591
F 0.349 0.563 0.381
F 0.391 0.430 0.666
F 0.474 0.201 0.570
F 0.526 0.799 0.430
F 0.609 0.570 0.334
F 0.651 0.437 0.619
F 0.844 0.077 0.409
F 0.896 0.802 0.594
F 0.899 0.351 0.437

=====

(3)
This record from the Materials Project describes crystalline NaLaSiO4 at its relaxed geometry. The functional is PBE-GGA.

The polymorph energy (0 for the lowest one) is 0.000 eV/atom. The total magnetic moment is 0.00 μB/cell. As for the crystal system: orthorhombic. The value obtained for the formation energy is -3321.9 meV per atom. Its energy is -623.77 eV per cell.

Unit cell a=21.616 b=9.486 c=5.574 alpha=90.00 beta=90.00 gamma=90.00
Fractional positions:
Na 0.058 0.070 0.000
Na 0.108 0.572 0.532
Na 0.225 0.424 0.043
Na 0.275 0.924 0.543
Na 0.392 0.072 0.032
Na 0.442 0.570 0.500
Na 0.558 0.430 0.000
Na 0.608 0.928 0.532
Na 0.725 0.076 0.043
Na 0.775 0.576 0.543
Na 0.892 0.428 0.032
Na 0.942 0.930 0.500
La 0.000 0.303 0.496
La 0.000 0.697 0.996
La 0.167 0.197 0.551
La 0.167 0.801 0.039
La 0.333 0.301 0.539
La 0.333 0.697 0.051
La 0.500 0.197 0.496
La 0.500 0.803 0.996
La 0.667 0.303 0.551
La 0.667 0.699 0.039
La 0.833 0.199 0.539
La 0.833 0.803 0.051
Si 0.077 0.416 0.035
Si 0.091 0.915 0.507
Si 0.244 0.082 0.035
Si 0.256 0.582 0.535
Si 0.409 0.415 0.007
Si 0.423 0.916 0.535
Si 0.577 0.084 0.035
Si 0.591 0.585 0.507
Si 0.744 0.418 0.035
Si 0.756 0.918 0.535
Si 0.909 0.085 0.007
Si 0.923 0.584 0.535
O 0.003 0.438 0.098
O 0.059 0.073 0.483
O 0.069 0.811 0.286
O 0.073 0.845 0.768
O 0.086 0.309 0.805
O 0.107 0.349 0.282
O 0.107 0.572 0.974
O 0.166 0.936 0.478
O 0.169 0.064 0.977
O 0.226 0.642 0.283
O 0.227 0.425 0.601
O 0.245 0.694 0.759
O 0.255 0.194 0.259
O 0.273 0.925 0.101
O 0.274 0.142 0.783
O 0.331 0.564 0.477
O 0.334 0.436 0.978
O 0.393 0.072 0.474
O 0.393 0.849 0.782
O 0.414 0.809 0.305
O 0.427 0.345 0.268
O 0.431 0.311 0.786
O 0.441 0.573 0.983
O 0.497 0.938 0.598
O 0.503 0.062 0.098
O 0.559 0.427 0.483
O 0.569 0.689 0.286
O 0.573 0.655 0.768
O 0.586 0.191 0.805
O 0.607 0.151 0.282
O 0.607 0.928 0.974
O 0.666 0.564 0.478
O 0.669 0.436 0.977
O 0.726 0.858 0.283
O 0.727 0.075 0.601
O 0.745 0.806 0.759
O 0.755 0.306 0.259
O 0.773 0.575 0.101
O 0.774 0.358 0.783
O 0.831 0.936 0.477
O 0.834 0.064 0.978
O 0.893 0.428 0.474
O 0.893 0.651 0.782
O 0.914 0.691 0.305
O 0.927 0.155 0.268
O 0.931 0.189 0.786
O 0.941 0.927 0.983
O 0.997 0.562 0.598

=====

(4)
This record from the Materials Project describes crystalline Sm3AlC at its relaxed geometry. The functional is PBE-GGA.

As for the crystal system: cubic. The value obtained for the formation energy is -256.5 meV per atom. Its energy is -28.41 eV per cell.

Unit cell a=5.024 b=5.024 c=5.024 alpha=90.00 beta=90.00 gamma=90.00
Fractional positions:
Sm 0.000 0.000 0.500
Sm 0.000 0.500 0.000
Sm 0.500 0.000 0.000
Al 0.500 0.500 0.500
C 0.000 0.000 0.000

=====

(5)
This record from the Materials Project describes crystalline Bi4PPd15 at its relaxed geometry. The functional is PBE-GGA.

The total magnetic moment is 0.00 μB/cell. As for the crystal system: trigonal. The value obtained for the formation energy is -220.4 meV per atom. Its energy is -103.08 eV per cell.

Unit cell a=19.112 b=19.112 c=19.112 alpha=13.82 beta=13.82 gamma=13.82
Fractional positions:
Bi 0.102 0.102 0.102
Bi 0.300 0.300 0.300
Bi 0.700 0.700 0.700
Bi 0.898 0.898 0.898
P 0.500 0.500 0.500
Pd 0.000 0.000 0.000
Pd 0.051 0.051 0.051
Pd 0.154 0.154 0.154
Pd 0.201 0.201 0.201
Pd 0.250 0.250 0.250
Pd 0.351 0.351 0.351
Pd 0.402 0.402 0.402
Pd 0.458 0.458 0.458
Pd 0.542 0.542 0.542
Pd 0.598 0.598 0.598
Pd 0.649 0.649 0.649
Pd 0.750 0.750 0.750
Pd 0.799 0.799 0.799
Pd 0.846 0.846 0.846
Pd 0.949 0.949 0.949

=====

(6)
This record from the Materials Project describes crystalline NaZr2TiF11 at its relaxed geometry. The functional is PBE-GGA.

The total magnetic moment is 2.00 μB/cell. As for the crystal system: monoclinic. The value obtained for the formation energy is -3736.3 meV per atom. Its energy is -98.34 eV per cell.

Unit cell a=5.778 b=5.778 c=7.932 alpha=110.70 beta=110.70 gamma=73.09
Fractional positions:
Na 0.000 0.000 0.000
Zr 0.496 0.496 0.765
Zr 0.504 0.504 0.235
Ti 0.000 0.000 0.500
F 0.191 0.780 0.690
F 0.220 0.809 0.310
F 0.244 0.244 0.641
F 0.266 0.266 0.111
F 0.329 0.671 0.000
F 0.500 0.500 0.500
F 0.671 0.329 0.000
F 0.734 0.734 0.889
F 0.756 0.756 0.359
F 0.780 0.191 0.690
F 0.809 0.220 0.310

=====

(7)
This record from the Materials Project describes crystalline Li6YB3O9 at its relaxed geometry. The functional is PBE-GGA.

The total magnetic moment is 0.00 μB/cell. As for the crystal system: monoclinic. The value obtained for the formation energy is -2816.3 meV per atom. Its energy is -519.27 eV per cell.

Unit cell a=7.268 b=16.542 c=6.724 alpha=90.00 beta=105.41 gamma=90.00
Fractional positions:
Li 0.047 0.030 0.170
Li 0.047 0.470 0.670
Li 0.062 0.705 0.046
Li 0.062 0.795 0.546
Li 0.193 0.535 0.056
Li 0.193 0.965 0.556
Li 0.215 0.206 0.865
Li 0.215 0.294 0.365
Li 0.362 0.053 0.915
Li 0.362 0.447 0.415
Li 0.429 0.004 0.324
Li 0.429 0.496 0.824
Li 0.571 0.504 0.176
Li 0.571 0.996 0.676
Li 0.638 0.553 0.585
Li 0.638 0.947 0.085
Li 0.785 0.706 0.635
Li 0.785 0.794 0.135
Li 0.807 0.035 0.444
Li 0.807 0.465 0.944
Li 0.938 0.205 0.454
Li 0.938 0.295 0.954
Li 0.953 0.530 0.330
Li 0.953 0.970 0.830
Y 0.420 0.690 0.847
Y 0.420 0.810 0.347
Y 0.580 0.190 0.653
Y 0.580 0.310 0.153
B 0.061 0.615 0.689
B 0.061 0.885 0.189
B 0.214 0.121 0.501
B 0.214 0.379 0.001
B 0.416 0.636 0.338
B 0.416 0.864 0.838
B 0.584 0.136 0.162
B 0.584 0.364 0.662
B 0.786 0.621 0.999
B 0.786 0.879 0.499
B 0.939 0.115 0.811
B 0.939 0.385 0.311
O 0.037 0.088 0.414
O 0.037 0.412 0.914
O 0.079 0.698 0.728
O 0.079 0.802 0.228
O 0.105 0.079 0.923
O 0.105 0.421 0.423
O 0.224 0.569 0.771
O 0.224 0.931 0.271
O 0.240 0.202 0.558
O 0.240 0.298 0.058
O 0.354 0.685 0.166
O 0.354 0.815 0.666
O 0.380 0.074 0.542
O 0.380 0.426 0.042
O 0.412 0.553 0.324
O 0.412 0.947 0.824
O 0.493 0.674 0.528
O 0.493 0.826 0.028
O 0.507 0.174 0.972
O 0.507 0.326 0.472
O 0.588 0.053 0.176
O 0.588 0.447 0.676
O 0.620 0.574 0.958
O 0.620 0.926 0.458
O 0.646 0.185 0.334
O 0.646 0.315 0.834
O 0.760 0.702 0.942
O 0.760 0.798 0.442
O 0.776 0.069 0.729
O 0.776 0.431 0.229
O 0.895 0.579 0.577
O 0.895 0.921 0.077
O 0.921 0.198 0.772
O 0.921 0.302 0.272
O 0.963 0.588 0.086
O 0.963 0.912 0.586